(1)
Here is a relaxed KCuF3 crystal from the Materials Project database. Energies are from PBE.

Structure (POSCAR):
```
KCuF3
1.0
5.8329 0.0000 0.0000
0.0000 5.8329 0.0000
0.0000 0.0000 4.0082
F Cu K
6 2 2
direct
0.2337 0.2663 0.0000
0.0000 0.5000 0.5000
0.5000 0.0000 0.5000
0.7337 0.2337 0.0000
0.7663 0.7337 0.0000
0.2663 0.7663 0.0000
0.0000 0.5000 0.0000
0.5000 0.0000 0.0000
0.0000 0.0000 0.5000
0.5000 0.5000 0.5000
```

Computed properties:
**SG**: P4/mbm (127)
**ΔH_f (0 K)**: -11.782 eV per formula unit
**MP2020-corrected energy**: -4.55 eV per atom

(2)
Here is a relaxed TlPdPb crystal from the Materials Project database. Energies are from PBE.

Structure (POSCAR):
```
TlPdPb
1.0
0.0000 4.7547 5.0442
3.0155 0.0000 5.0442
3.0155 4.7547 0.0000
Pb Pd Tl
2 2 2
direct
0.8353 0.8353 0.1647
0.1647 0.1647 0.8353
0.7500 0.7500 0.7500
0.2500 0.2500 0.2500
0.6667 0.3333 0.6667
0.3333 0.6667 0.3333
```

Computed properties:
**SG**: Fmmm (69)
**ΔH_f (0 K)**: -0.503 eV per formula unit

(3)
Here is a relaxed GdMg3 crystal from the Materials Project database. Energies are from PBE.

Structure (POSCAR):
```
GdMg3
1.0
0.0000 3.6358 3.6358
3.6358 0.0000 3.6358
3.6358 3.6358 0.0000
Mg Gd
3 1
direct
0.2500 0.2500 0.2500
0.5000 0.5000 0.5000
0.7500 0.7500 0.7500
0.0000 0.0000 0.0000
```

Computed properties:
**SG**: Fm-3m (225)
**ΔH_f (0 K)**: -0.333 eV per formula unit

(4)
Here is a relaxed PrCu4P2 crystal from the Materials Project database. Energies are from PBE.

Structure (POSCAR):
```
PrCu4P2
1.0
-3.4481 -1.1264 -1.4455
5.1357 -4.6621 -8.6179
1.0093 -12.6300 7.4341
Pr P Cu
6 12 24
direct
0.5000 0.6205 0.7743
0.0000 0.8795 0.2743
0.0000 0.1205 0.7257
0.0000 0.0000 0.0000
0.5000 0.5000 0.5000
0.5000 0.3795 0.2257
0.5000 0.2937 0.6294
0.0000 0.3672 0.3852
0.5000 0.0609 0.3369
0.0000 0.4391 0.8369
0.5000 0.9391 0.6631
0.0000 0.6328 0.6148
0.0000 0.5609 0.1631
0.5000 0.1328 0.8852
0.5000 0.7063 0.3706
0.5000 0.8672 0.1148
0.0000 0.2063 0.1294
0.0000 0.7937 0.8706
0.5000 0.7554 0.5883
0.5000 0.1009 0.5518
0.5000 0.2328 0.0365
0.0000 0.9277 0.5615
0.5000 0.9248 0.8309
0.5000 0.5723 0.0615
0.0000 0.8275 0.7136
0.5000 0.3275 0.7864
0.5000 0.7672 0.9635
0.5000 0.2446 0.4117
0.0000 0.5752 0.3309
0.5000 0.6725 0.2136
0.0000 0.7446 0.0883
0.0000 0.4248 0.6691
0.5000 0.4277 0.9385
0.0000 0.2672 0.5365
0.0000 0.6009 0.9482
0.0000 0.2554 0.9117
0.5000 0.0752 0.1691
0.0000 0.3991 0.0518
0.0000 0.7328 0.4635
0.5000 0.8991 0.4482
0.0000 0.0723 0.4385
0.0000 0.1725 0.2864
```

Computed properties:
**SG**: Pnnm (58)
**ΔH_f (0 K)**: -3.670 eV per formula unit